A plane-wave DFT calculation with PBE was carried out for PbC12S2F10 after structural relaxation.

Cell: 14.800 13.852 10.645 Å, 90.00 95.62 90.00°
Space group P2_1/c (No. 14)
Asymmetric unit:
Pb: 0.000 0.000 0.000
Pb: 0.012 0.164 0.654
C: 0.166 0.658 0.340
C: 0.182 0.017 0.389
C: 0.203 0.546 0.793
C: 0.207 0.171 0.880
C: 0.212 0.724 0.425
C: 0.221 0.600 0.271
C: 0.247 0.231 0.795
C: 0.248 0.070 0.462
C: 0.265 0.107 0.951
C: 0.296 0.554 0.775
C: 0.306 0.733 0.439
C: 0.315 0.608 0.283
C: 0.339 0.061 0.441
C: 0.340 0.229 0.782
C: 0.358 0.104 0.941
C: 0.358 0.675 0.367
C: 0.363 0.502 0.847
C: 0.396 0.165 0.856
S: 0.048 0.648 0.312
S: 0.091 0.180 0.900
S: 0.122 0.612 0.697
F: 0.094 0.028 0.415
F: 0.163 0.716 0.994
F: 0.182 0.535 0.187
F: 0.195 0.207 0.220
F: 0.224 0.131 0.552
F: 0.230 0.046 0.033
F: 0.322 0.615 0.686
F: 0.347 0.702 0.020
F: 0.365 0.550 0.214
F: 0.376 0.212 0.200
F: 0.403 0.112 0.510
F: 0.411 0.041 0.011
F: 0.449 0.684 0.378
F: 0.451 0.511 0.826
F: 0.486 0.163 0.845

Summary:
Spin magnetization   0.00 μB/atom
Formation enthalpy at 0 K   -0.88 eV/atom